[1]
# TbCoSi2

Crystalline TbCoSi2 at its relaxed geometry (r2SCAN, Materials Project).

It has space group P2_1/m (No. 11), with a = 4.0307 Å, b = 3.9593 Å, c = 8.3361 Å, α = 90.00°, β = 103.93° and γ = 90.00°. The inequivalent atoms are Tb at (0.1082, 0.2500, 0.2166), Co at (0.3204, 0.2500, 0.6407), Si at (0.2500, 0.7500, 0.5003) and Si at (0.4565, 0.2500, 0.9135).

For the total energy, the calculation gives -16.2709 eV per atom. The formation energy is -0.7688 eV/atom.

[2]
# SrIrO3

Crystalline SrIrO3 at its relaxed geometry (r2SCAN, Materials Project).

It has space group Cmcm (No. 63), with a = 5.6351 Å, b = 9.4844 Å, c = 14.3789 Å, α = 90.00°, β = 90.00° and γ = 90.00°. The inequivalent atoms are Sr at (0.0000, 0.0084, 0.2500), Sr at (0.0000, 0.3222, 0.6071), Ir at (0.0000, 0.0000, 0.0000), Ir at (0.0000, 0.3393, 0.1532), O at (0.0000, 0.2012, 0.0451), O at (0.0000, 0.4891, 0.2500), O at (0.2310, 0.2531, 0.2500) and O at (0.2411, 0.0396, 0.5978).

For the total energy, the calculation gives -18.8619 eV per atom. The formation energy is -1.7774 eV/atom.